First-principles (PBE) data for Rb4PbO4 after structural relaxation, as listed in the Materials Project database.

Cell: 19.6631 6.9988 7.0152 Å, 67.14 90.00 90.00°
Closest atoms and distances in Å follow each position.
Element x y z (fractional)
O 0.0466 0.3840 0.7928  1 Pb 2.12
O 0.1693 0.9862 0.0304  1 Pb 2.12
O 0.4534 0.8840 0.7928  1 Pb 2.12
O 0.3307 0.4862 0.0304  1 Pb 2.12
O 0.3054 0.9081 0.5607  1 Pb 2.12
O 0.8307 0.0138 0.9696  1 Pb 2.12
O 0.9534 0.6160 0.2072  1 Pb 2.12
O 0.6946 0.0919 0.4393  1 Pb 2.12
O 0.5938 0.4897 0.4175  1 Pb 2.13
O 0.0938 0.0103 0.5825  1 Pb 2.13
O 0.6693 0.5138 0.9696  1 Pb 2.12
O 0.8054 0.5919 0.4393  1 Pb 2.12
O 0.4062 0.5103 0.5825  1 Pb 2.13
O 0.1946 0.4081 0.5607  1 Pb 2.12
O 0.9062 0.9897 0.4175  1 Pb 2.13
O 0.5466 0.1160 0.2072  1 Pb 2.12
Rb 0.7157 0.3218 0.6983  3 O 2.71-2.89
Rb 0.1900 0.6812 0.8068  5 O 2.92-3.21
Rb 0.7843 0.8218 0.6983  3 O 2.71-2.89
Rb 0.5156 0.2549 0.7806  4 O 2.80-2.88
Rb 0.4184 0.2125 0.3592  5 O 2.92-3.09
Rb 0.0156 0.2451 0.2194  4 O 2.80-2.88
Rb 0.4844 0.7451 0.2194  4 O 2.80-2.88
Rb 0.2843 0.6782 0.3017  3 O 2.71-2.89
Rb 0.2157 0.1782 0.3017  3 O 2.71-2.89
Rb 0.8100 0.3188 0.1932  5 O 2.92-3.21
Rb 0.9844 0.7549 0.7806  4 O 2.80-2.88
Rb 0.9184 0.2875 0.6408  5 O 2.92-3.09
Rb 0.3100 0.1812 0.8068  5 O 2.92-3.21
Rb 0.0816 0.7125 0.3592  5 O 2.92-3.09
Rb 0.6900 0.8188 0.1932  5 O 2.92-3.21
Rb 0.5816 0.7875 0.6408  5 O 2.92-3.09
Pb 0.3769 0.6904 0.7525  4 O 2.12-2.13
Pb 0.8769 0.8096 0.2475  4 O 2.12-2.13
Pb 0.6231 0.3096 0.2475  4 O 2.12-2.13
Pb 0.1231 0.1904 0.7525  4 O 2.12-2.13

The energy relative to the elements comes out at -1526.4 meV per atom.